Tc3Pt: relaxed, PBE.

Values from the calculation:
space group: P6_3/mmc
formation energy: -25.5 kJ/mol of atoms
offset from the most stable computed form: 0.000 eV per atom
total DFT energy (no corrections): -76.4 eV for the cell shown

Cell: 5.555 5.555 4.400 Å, 90.00 90.00 120.00°
Element x y z (fractional)
Tc  0.159  0.318  0.250
Tc  0.159  0.841  0.250
Tc  0.318  0.159  0.750
Tc  0.682  0.841  0.250
Tc  0.841  0.159  0.750
Tc  0.841  0.682  0.750
Pt  0.333  0.667  0.750
Pt  0.667  0.333  0.250